Computed, not measured: a geometry-optimized RhI2 structure at the GGA-PBE level of DFT.

Computed properties:
DFT total energy ... -21.439 eV for the cell shown
ΔH_f (0 K) ... -0.36 eV/atom
Space group ... P4_2/mnm, No. 136

Unit cell a=6.406 b=6.406 c=4.189 alpha=90.00 beta=90.00 gamma=90.00
Positions (direct):
Rh (0.000, 0.000, 0.000)
Rh (0.500, 0.500, 0.500)
I (0.195, 0.195, 0.500)
I (0.305, 0.695, 0.000)
I (0.695, 0.305, 0.000)
I (0.805, 0.805, 0.500)

Computed, not measured: a geometry-optimized PdC8N6 structure at the GGA-PBE level of DFT.

Computed properties:
DFT total energy ... -363.504 eV for the cell shown
ΔH_f (0 K) ... 0.38 eV/atom
Space group ... Cm, No. 8

Unit cell a=13.599 b=13.599 c=4.683 alpha=90.52 beta=90.52 gamma=101.38
Positions (direct):
Pd (0.000, 0.000, 0.000)
Pd (0.318, 0.655, 0.222)
Pd (0.655, 0.318, 0.222)
C (0.007, 0.679, 0.931)
C (0.051, 0.383, 0.450)
C (0.103, 0.663, 0.999)
C (0.212, 0.991, 0.256)
C (0.271, 0.271, 0.792)
C (0.303, 0.973, 0.365)
C (0.312, 0.873, 0.377)
C (0.330, 0.442, 0.986)
C (0.347, 0.347, 0.917)
C (0.383, 0.051, 0.450)
C (0.442, 0.330, 0.986)
C (0.537, 0.650, 0.374)
C (0.599, 0.923, 0.915)
C (0.636, 0.636, 0.371)
C (0.650, 0.537, 0.374)
C (0.663, 0.103, 0.999)
C (0.679, 0.007, 0.931)
C (0.718, 0.718, 0.353)
C (0.778, 0.998, 0.892)
C (0.873, 0.312, 0.377)
C (0.923, 0.599, 0.915)
C (0.973, 0.303, 0.365)
C (0.991, 0.212, 0.256)
C (0.998, 0.778, 0.892)
N (0.000, 0.135, 0.158)
N (0.116, 0.450, 0.522)
N (0.135, 0.000, 0.158)
N (0.184, 0.655, 0.052)
N (0.209, 0.209, 0.689)
N (0.311, 0.787, 0.399)
N (0.324, 0.524, 0.045)
N (0.450, 0.116, 0.522)
N (0.453, 0.657, 0.388)
N (0.524, 0.324, 0.045)
N (0.532, 0.854, 0.903)
N (0.655, 0.184, 0.052)
N (0.657, 0.453, 0.388)
N (0.786, 0.786, 0.336)
N (0.787, 0.311, 0.399)
N (0.854, 0.532, 0.903)
N (0.863, 0.999, 0.845)
N (0.999, 0.863, 0.845)